(1)
Here is crystalline Ca3Mg2Ni13 at its relaxed geometry from the Materials Project database. Energies are from GGA-PBE.

a b c (Å): 12.307 12.307 12.307
angles (deg): 23.08 23.08 23.08
Fractional coordinates of all 18 atoms:
Ca 0.000 0.000 0.000
Ca 0.457 0.457 0.457
Ca 0.543 0.543 0.543
Mg 0.093 0.093 0.093
Mg 0.907 0.907 0.907
Ni 0.000 0.000 0.500
Ni 0.000 0.500 0.000
Ni 0.053 0.556 0.556
Ni 0.223 0.223 0.223
Ni 0.334 0.334 0.334
Ni 0.444 0.444 0.947
Ni 0.444 0.947 0.444
Ni 0.500 0.000 0.000
Ni 0.556 0.053 0.556
Ni 0.556 0.556 0.053
Ni 0.666 0.666 0.666
Ni 0.777 0.777 0.777
Ni 0.947 0.444 0.444

Results
Formation energy = -171 meV/atom
Space-group type = R-3m (166)

***

(2)
Here is crystalline Ca3MgNi14 at its relaxed geometry from the Materials Project database. Energies are from GGA-PBE.

a b c (Å): 12.297 12.297 12.297
angles (deg): 23.40 23.40 23.40
Fractional coordinates of all 18 atoms:
Ca 0.000 0.000 0.000
Ca 0.098 0.098 0.098
Ca 0.202 0.202 0.202
Mg 0.298 0.298 0.298
Ni 0.041 0.539 0.539
Ni 0.149 0.650 0.650
Ni 0.259 0.761 0.761
Ni 0.428 0.428 0.428
Ni 0.538 0.538 0.538
Ni 0.539 0.041 0.539
Ni 0.539 0.539 0.041
Ni 0.649 0.649 0.649
Ni 0.650 0.149 0.650
Ni 0.650 0.650 0.149
Ni 0.761 0.259 0.761
Ni 0.761 0.761 0.259
Ni 0.761 0.761 0.761
Ni 0.872 0.872 0.872

Results
Formation energy = -143 meV/atom
Space-group type = R3m (160)

***

(3)
Here is crystalline CaMg3O4 at its relaxed geometry from the Materials Project database. Energies are from GGA-PBE.

a b c (Å): 4.446 4.446 4.446
angles (deg): 90.00 90.00 90.00
Fractional coordinates of all 8 atoms:
Ca 0.000 0.000 0.000
Mg 0.000 0.500 0.500
Mg 0.500 0.000 0.500
Mg 0.500 0.500 0.000
O 0.000 0.000 0.500
O 0.000 0.500 0.000
O 0.500 0.000 0.000
O 0.500 0.500 0.500

Results
Formation energy = -2980 meV/atom
Space-group type = Pm-3m (221)

***

(4)
Here is crystalline CaMgO3 at its relaxed geometry from the Materials Project database. Energies are from GGA-PBE.

a b c (Å): 3.945 3.945 3.945
angles (deg): 90.00 90.00 90.00
Fractional coordinates of all 5 atoms:
Ca 0.000 0.000 0.000
Mg 0.500 0.500 0.500
O 0.000 0.500 0.500
O 0.500 0.000 0.500
O 0.500 0.500 0.000

Results
Formation energy = -2235 meV/atom
Space-group type = Pm-3m (221)

***

(5)
Here is crystalline Ca9MgP7O28 at its relaxed geometry from the Materials Project database. Energies are from GGA-PBE.

a b c (Å): 13.858 13.858 13.858
angles (deg): 44.28 44.28 44.28
Fractional coordinates of all 90 atoms:
Ca 0.024 0.995 0.590
Ca 0.090 0.495 0.524
Ca 0.281 0.853 0.866
Ca 0.353 0.781 0.366
Ca 0.366 0.353 0.781
Ca 0.404 0.947 0.969
Ca 0.447 0.904 0.469
Ca 0.469 0.447 0.904
Ca 0.495 0.524 0.090
Ca 0.524 0.090 0.495
Ca 0.590 0.024 0.995
Ca 0.781 0.366 0.353
Ca 0.853 0.866 0.281
Ca 0.866 0.281 0.853
Ca 0.904 0.469 0.447
Ca 0.947 0.969 0.404
Ca 0.969 0.404 0.947
Ca 0.995 0.590 0.024
Mg 0.435 0.435 0.435
Mg 0.935 0.935 0.935
P 0.117 0.625 0.656
P 0.125 0.617 0.156
P 0.156 0.125 0.617
P 0.189 0.189 0.189
P 0.209 0.754 0.244
P 0.244 0.209 0.754
P 0.254 0.709 0.744
P 0.617 0.156 0.125
P 0.625 0.656 0.117
P 0.656 0.117 0.625
P 0.689 0.689 0.689
P 0.709 0.744 0.254
P 0.744 0.254 0.709
P 0.754 0.244 0.209
O 0.037 0.574 0.669
O 0.037 0.789 0.341
O 0.046 0.326 0.154
O 0.050 0.595 0.320
O 0.056 0.793 0.061
O 0.060 0.799 0.579
O 0.061 0.056 0.793
O 0.074 0.537 0.169
O 0.077 0.270 0.796
O 0.078 0.799 0.821
O 0.079 0.299 0.560
O 0.095 0.550 0.820
O 0.154 0.046 0.326
O 0.169 0.074 0.537
O 0.231 0.231 0.231
O 0.233 0.849 0.243
O 0.243 0.233 0.849
O 0.270 0.796 0.077
O 0.289 0.537 0.841
O 0.293 0.556 0.561
O 0.296 0.770 0.577
O 0.299 0.560 0.079
O 0.299 0.578 0.321
O 0.320 0.050 0.595
O 0.321 0.299 0.578
O 0.326 0.154 0.046
O 0.341 0.037 0.789
O 0.349 0.733 0.743
O 0.537 0.169 0.074
O 0.537 0.841 0.289
O 0.546 0.654 0.826
O 0.550 0.820 0.095
O 0.556 0.561 0.293
O 0.560 0.079 0.299
O 0.561 0.293 0.556
O 0.574 0.669 0.037
O 0.577 0.296 0.770
O 0.578 0.321 0.299
O 0.579 0.060 0.799
O 0.595 0.320 0.050
O 0.654 0.826 0.546
O 0.669 0.037 0.574
O 0.731 0.731 0.731
O 0.733 0.743 0.349
O 0.743 0.349 0.733
O 0.770 0.577 0.296
O 0.789 0.341 0.037
O 0.793 0.061 0.056
O 0.796 0.077 0.270
O 0.799 0.579 0.060
O 0.799 0.821 0.078
O 0.820 0.095 0.550
O 0.821 0.078 0.799
O 0.826 0.546 0.654
O 0.841 0.289 0.537
O 0.849 0.243 0.233

Results
Formation energy = -3249 meV/atom
Space-group type = R3c (161)

***

(6)
Here is crystalline Ca19Mg2P14O56 at its relaxed geometry from the Materials Project database. Energies are from GGA-PBE.

a b c (Å): 13.862 13.862 13.862
angles (deg): 44.25 44.25 44.25
Fractional coordinates of all 91 atoms:
Ca 0.044 0.044 0.044
Ca 0.076 0.667 0.657
Ca 0.157 0.169 0.572
Ca 0.169 0.572 0.157
Ca 0.188 0.777 0.749
Ca 0.268 0.290 0.666
Ca 0.290 0.666 0.268
Ca 0.299 0.882 0.328
Ca 0.328 0.299 0.882
Ca 0.389 0.788 0.822
Ca 0.572 0.157 0.169
Ca 0.657 0.076 0.667
Ca 0.666 0.268 0.290
Ca 0.667 0.657 0.076
Ca 0.749 0.188 0.777
Ca 0.777 0.749 0.188
Ca 0.788 0.822 0.389
Ca 0.822 0.389 0.788
Ca 0.882 0.328 0.299
Mg 0.232 0.232 0.232
Mg 0.732 0.732 0.732
P 0.008 0.049 0.546
P 0.046 0.551 0.507
P 0.049 0.546 0.008
P 0.406 0.925 0.961
P 0.422 0.912 0.458
P 0.458 0.422 0.912
P 0.469 0.469 0.469
P 0.507 0.046 0.551
P 0.546 0.008 0.049
P 0.551 0.507 0.046
P 0.912 0.458 0.422
P 0.925 0.961 0.406
P 0.961 0.406 0.925
P 0.968 0.968 0.968
O 0.040 0.059 0.625
O 0.059 0.625 0.040
O 0.062 0.879 0.602
O 0.086 0.648 0.334
O 0.088 0.358 0.356
O 0.098 0.117 0.370
O 0.099 0.890 0.346
O 0.104 0.381 0.560
O 0.117 0.370 0.098
O 0.122 0.398 0.840
O 0.122 0.561 0.541
O 0.123 0.846 0.985
O 0.145 0.584 0.836
O 0.309 0.885 0.983
O 0.334 0.086 0.648
O 0.339 0.623 0.480
O 0.343 0.898 0.621
O 0.346 0.099 0.890
O 0.356 0.088 0.358
O 0.358 0.356 0.088
O 0.370 0.098 0.117
O 0.375 0.828 0.475
O 0.381 0.560 0.104
O 0.384 0.597 0.855
O 0.398 0.840 0.122
O 0.427 0.427 0.427
O 0.475 0.375 0.828
O 0.480 0.339 0.623
O 0.541 0.122 0.561
O 0.560 0.104 0.381
O 0.561 0.541 0.122
O 0.580 0.858 0.858
O 0.584 0.836 0.145
O 0.597 0.855 0.384
O 0.597 0.869 0.617
O 0.602 0.062 0.879
O 0.617 0.597 0.869
O 0.621 0.343 0.898
O 0.623 0.480 0.339
O 0.625 0.040 0.059
O 0.648 0.334 0.086
O 0.828 0.475 0.375
O 0.836 0.145 0.584
O 0.840 0.122 0.398
O 0.846 0.985 0.123
O 0.855 0.384 0.597
O 0.858 0.580 0.858
O 0.858 0.858 0.580
O 0.869 0.617 0.597
O 0.879 0.602 0.062
O 0.885 0.983 0.309
O 0.890 0.346 0.099
O 0.898 0.621 0.343
O 0.928 0.928 0.928
O 0.983 0.309 0.885
O 0.985 0.123 0.846

Results
Formation energy = -3309 meV/atom
Space-group type = R3 (146)

***

(7)
Here is crystalline Ca2MgReO6 at its relaxed geometry from the Materials Project database. Energies are from GGA-PBE.

a b c (Å): 5.460 5.576 9.489
angles (deg): 90.00 125.13 90.00
Fractional coordinates of all 20 atoms:
Ca 0.241 0.048 0.249
Ca 0.241 0.452 0.749
Ca 0.759 0.548 0.251
Ca 0.759 0.952 0.751
Mg 0.000 0.000 0.500
Mg 0.000 0.500 0.000
Re 0.500 0.000 0.000
Re 0.500 0.500 0.500
O 0.168 0.196 0.955
O 0.168 0.304 0.455
O 0.262 0.715 0.954
O 0.262 0.785 0.454
O 0.345 0.026 0.758
O 0.345 0.474 0.258
O 0.655 0.526 0.742
O 0.655 0.974 0.242
O 0.738 0.215 0.546
O 0.738 0.285 0.046
O 0.832 0.696 0.545
O 0.832 0.804 0.045

Results
Formation energy = -2870 meV/atom
Space-group type = P2_1/c (14)

***

(8)
Here is crystalline CaMg2S3O12 at its relaxed geometry from the Materials Project database. Energies are from GGA-PBE.

a b c (Å): 8.470 8.470 7.447
angles (deg): 90.00 90.00 120.00
Fractional coordinates of all 36 atoms:
Ca 0.000 0.000 0.000
Ca 0.000 0.000 0.500
Mg 0.333 0.667 0.047
Mg 0.333 0.667 0.453
Mg 0.667 0.333 0.547
Mg 0.667 0.333 0.953
S 0.033 0.670 0.750
S 0.330 0.363 0.750
S 0.363 0.033 0.250
S 0.637 0.967 0.750
S 0.670 0.637 0.250
S 0.967 0.330 0.250
O 0.037 0.199 0.250
O 0.128 0.520 0.250
O 0.142 0.701 0.586
O 0.142 0.701 0.914
O 0.163 0.963 0.250
O 0.199 0.163 0.750
O 0.299 0.442 0.586
O 0.299 0.442 0.914
O 0.392 0.872 0.250
O 0.442 0.142 0.086
O 0.442 0.142 0.414
O 0.480 0.608 0.250
O 0.520 0.392 0.750
O 0.558 0.858 0.586
O 0.558 0.858 0.914
O 0.608 0.128 0.750
O 0.701 0.558 0.086
O 0.701 0.558 0.414
O 0.801 0.837 0.250
O 0.837 0.037 0.750
O 0.858 0.299 0.086
O 0.858 0.299 0.414
O 0.872 0.480 0.750
O 0.963 0.801 0.750

Results
Formation energy = -2499 meV/atom
Space-group type = P6_3/m (176)